Compound: DyNiSn
Source: Materials Project
Functional: PBE
Structure: optimized geometry

Geometry as CIF:
```
data_DyNiSn
_chemical_formula_sum 'Dy4 Ni4 Sn4'
_cell_length_a 7.133
_cell_length_b 4.478
_cell_length_c 7.691
_cell_angle_alpha 90.00
_cell_angle_beta 90.00
_cell_angle_gamma 90.00
_space_group_name_H-M_alt 'P n m a'
_space_group_IT_number 62
_space_group_name_Hall '-P 2ac 2n'
loop_
_atom_site_label
_atom_site_type_symbol
_atom_site_fract_x
_atom_site_fract_y
_atom_site_fract_z
Dy1 Dy 0.013 0.250 0.203
Ni1 Ni 0.201 0.750 0.415
Sn1 Sn 0.191 0.250 0.587
```

***

# CsBeF3 PBE optimized geometry
# Total energy after the MP2020 corrections, eV per formula unit: -27.4
# Energy relative to the lowest polymorph listed for this composition, meV per atom: 0
data_CsBeF3
_chemical_formula_sum 'Cs4 Be4 F12'
_cell_length_a 4.889
_cell_length_b 6.130
_cell_length_c 12.977
_cell_angle_alpha 90.00
_cell_angle_beta 90.00
_cell_angle_gamma 90.00
_space_group_name_H-M_alt 'P n m a'
_space_group_IT_number 62
_space_group_name_Hall '-P 2ac 2n'
loop_
_atom_site_label
_atom_site_type_symbol
_atom_site_fract_x
_atom_site_fract_y
_atom_site_fract_z
Cs1 Cs 0.238 0.250 0.101
Be1 Be 0.193 0.750 0.320
F1 F 0.124 0.250 0.718
F2 F 0.242 0.540 0.382

***

# Tm6FeSb2 PBE optimized geometry
# Total energy after the MP2020 corrections, eV per formula unit: -48.9
data_Tm6FeSb2
_chemical_formula_sum 'Tm6 Fe1 Sb2'
_cell_length_a 8.0973
_cell_length_b 8.0973
_cell_length_c 4.0977
_cell_angle_alpha 90.00
_cell_angle_beta 90.00
_cell_angle_gamma 120.00
_space_group_name_H-M_alt 'P -6 2 m'
_space_group_IT_number 189
_space_group_name_Hall 'P -6 -2'
loop_
_atom_site_label
_atom_site_type_symbol
_atom_site_fract_x
_atom_site_fract_y
_atom_site_fract_z
Tm1 Tm 0.0000 0.3939 0.0000
Tm2 Tm 0.0000 0.7661 0.5000
Fe1 Fe 0.0000 0.0000 0.0000
Sb1 Sb 0.3333 0.6667 0.5000

***

# Ba2CaTlCu2O7 PBE optimized geometry
# Total energy after the MP2020 corrections, eV per formula unit: -76.8
data_Ba2CaTlCu2O7
_chemical_formula_sum 'Ba2 Ca1 Tl1 Cu2 O7'
_cell_length_a 3.841
_cell_length_b 3.841
_cell_length_c 13.049
_cell_angle_alpha 90.00
_cell_angle_beta 90.00
_cell_angle_gamma 90.00
_space_group_name_H-M_alt 'P 4/m m m'
_space_group_IT_number 123
_space_group_name_Hall '-P 4 2'
loop_
_atom_site_label
_atom_site_type_symbol
_atom_site_fract_x
_atom_site_fract_y
_atom_site_fract_z
Ba1 Ba 0.000 0.000 0.208
Ca1 Ca 0.000 0.000 0.500
Tl1 Tl 0.500 0.500 0.000
Cu1 Cu 0.500 0.500 0.368
O1 O 0.000 0.000 0.000
O2 O 0.000 0.500 0.380
O3 O 0.500 0.500 0.160

***

# Hg3S2Br2 PBE optimized geometry
# Total energy after the MP2020 corrections, eV per formula unit: -16.8
data_Hg3S2Br2
_chemical_formula_sum 'Hg24 S16 Br16'
_cell_length_a 18.689
_cell_length_b 9.534
_cell_length_c 10.618
_cell_angle_alpha 90.00
_cell_angle_beta 116.10
_cell_angle_gamma 90.00
_space_group_name_H-M_alt 'C 1 2/m 1'
_space_group_IT_number 12
_space_group_name_Hall '-C 2y'
loop_
_atom_site_label
_atom_site_type_symbol
_atom_site_fract_x
_atom_site_fract_y
_atom_site_fract_z
Hg1 Hg 0.073 0.233 0.294
Hg2 Hg 0.075 0.500 0.728
Hg3 Hg 0.130 0.237 0.004
Hg4 Hg 0.216 0.500 0.284
S1 S 0.068 0.245 0.749
S2 S 0.194 0.245 0.259
Br1 Br 0.000 0.000 0.000
Br2 Br 0.000 0.500 0.000
Br3 Br 0.118 0.500 0.486
Br4 Br 0.119 0.000 0.496
Br5 Br 0.250 0.000 0.997

***

Compound: SmSi3Rh5
Source: Materials Project
Functional: PBE
Structure: optimized geometry

Geometry as CIF:
```
data_SmSi3Rh5
_chemical_formula_sum 'Sm6 Si18 Rh30'
_cell_length_a 15.7073
_cell_length_b 15.7073
_cell_length_c 3.9043
_cell_angle_alpha 90.00
_cell_angle_beta 90.00
_cell_angle_gamma 120.00
_space_group_name_H-M_alt 'P 63/m'
_space_group_IT_number 176
_space_group_name_Hall '-P 6c'
loop_
_atom_site_label
_atom_site_type_symbol
_atom_site_fract_x
_atom_site_fract_y
_atom_site_fract_z
Sm1 Sm 0.1003 0.7063 0.2500
Si1 Si 0.0629 0.4335 0.2500
Si2 Si 0.1201 0.8707 0.7500
Si3 Si 0.2406 0.6813 0.7500
Rh1 Rh 0.0296 0.8867 0.2500
Rh2 Rh 0.0439 0.2710 0.2500
Rh3 Rh 0.0751 0.5383 0.7500
Rh4 Rh 0.1525 0.4146 0.7500
Rh5 Rh 0.2235 0.5715 0.2500
```

***

# OsN5Cl3 PBE optimized geometry
# Total energy after the MP2020 corrections, eV per formula unit: -48.7
data_OsN5Cl3
_chemical_formula_sum 'Os4 N20 Cl12'
_cell_length_a 16.986
_cell_length_b 6.298
_cell_length_c 7.394
_cell_angle_alpha 90.00
_cell_angle_beta 90.00
_cell_angle_gamma 90.00
_space_group_name_H-M_alt 'P n m a'
_space_group_IT_number 62
_space_group_name_Hall '-P 2ac 2n'
loop_
_atom_site_label
_atom_site_type_symbol
_atom_site_fract_x
_atom_site_fract_y
_atom_site_fract_z
Os1 Os 0.152 0.250 0.160
N1 N 0.063 0.750 0.629
N2 N 0.082 0.017 0.161
N3 N 0.212 0.250 0.351
N4 N 0.212 0.250 0.970
Cl1 Cl 0.069 0.750 0.167
Cl2 Cl 0.118 0.528 0.649

***

Compound: ErCdPt2
Source: Materials Project
Functional: PBE
Structure: optimized geometry

Geometry as CIF:
```
data_ErCdPt2
_chemical_formula_sum 'Er4 Cd4 Pt8'
_cell_length_a 6.758
_cell_length_b 6.758
_cell_length_c 6.758
_cell_angle_alpha 90.00
_cell_angle_beta 90.00
_cell_angle_gamma 90.00
_space_group_name_H-M_alt 'F m -3 m'
_space_group_IT_number 225
_space_group_name_Hall '-F 4 2 3'
loop_
_atom_site_label
_atom_site_type_symbol
_atom_site_fract_x
_atom_site_fract_y
_atom_site_fract_z
Er1 Er 0.000 0.000 0.000
Cd1 Cd 0.000 0.000 0.500
Pt1 Pt 0.250 0.250 0.250
```

***

# AcSe3 PBE optimized geometry
# Total energy after the MP2020 corrections, eV per formula unit: -20.2
data_AcSe3
_chemical_formula_sum 'Ac2 Se6'
_cell_length_a 4.351
_cell_length_b 4.351
_cell_length_c 10.868
_cell_angle_alpha 90.00
_cell_angle_beta 90.00
_cell_angle_gamma 90.00
_space_group_name_H-M_alt 'I 4/m m m'
_space_group_IT_number 139
_space_group_name_Hall '-I 4 2'
loop_
_atom_site_label
_atom_site_type_symbol
_atom_site_fract_x
_atom_site_fract_y
_atom_site_fract_z
Ac1 Ac 0.000 0.000 0.000
Se1 Se 0.000 0.000 0.500
Se2 Se 0.000 0.500 0.250

***

Short version: density = 9.19, 3.40, 9.37, 6.54, 6.46, 8.95, 3.08, 14.42, 7.49 g/cm3, in the order given.
Short version: ΔH_f (0 K) = -2.02, -17.03, -5.37, -25.72, -4.31, -8.57, 9.77, -3.38, -5.60 eV/f.u., in the order given.